An optimized crystal structure of Na5Sc3TiP6O24, computed with PBE.

The total energy comes out at -7.359 eV per atom. As for the energy of formation from the pure elements: -118.8 eV/f.u.

Unit cell a=8.9333 b=8.9247 c=22.4566 alpha=89.96 beta=90.04 gamma=120.01
Sites, in units of the cell vectors:
O 0.9640 0.7987 0.0842
O 0.8457 0.5232 0.7458
O 0.8112 0.9905 0.4128
O 0.0145 0.1954 0.9106
O 0.5240 0.6887 0.2550
O 0.8567 0.3634 0.9235
O 0.8770 0.3600 0.6411
O 0.3131 0.8359 0.2560
O 0.4796 0.3300 0.7463
O 0.8392 0.3155 0.2444
O 0.7766 0.9594 0.6932
O 0.6448 0.5235 0.6419
O 0.4871 0.1249 0.6368
O 0.1934 0.0217 0.5854
O 0.4721 0.1586 0.5265
O 0.1937 0.1721 0.0836
O 0.3112 0.4830 0.7596
O 0.6470 0.1510 0.4256
O 0.9722 0.7958 0.8026
O 0.1337 0.6359 0.0765
O 0.2078 0.1862 0.8069
O 0.9709 0.1747 0.3017
O 0.6444 0.1205 0.1405
O 0.7849 0.8143 0.1907
O 0.1804 0.9846 0.9097
O 0.4773 0.3153 0.0273
O 0.4811 0.3594 0.1389
O 0.8772 0.5174 0.1395
O 0.5102 0.6528 0.5779
O 0.3143 0.4621 0.4695
O 0.8337 0.8035 0.5858
O 0.3128 0.8542 0.9725
O 0.1794 0.1883 0.4122
O 0.0298 0.2154 0.1909
O 0.8333 0.3096 0.5301
O 0.4757 0.1605 0.2445
O 0.5421 0.8575 0.4736
O 0.9644 0.1648 0.5868
O 0.1425 0.6849 0.4738
O 0.5066 0.1423 0.9226
O 0.3672 0.4741 0.3586
O 0.6854 0.1587 0.7451
O 0.1640 0.4770 0.2550
O 0.1330 0.4950 0.8627
O 0.8331 0.0308 0.0839
O 0.3581 0.4954 0.0765
O 0.1339 0.4974 0.5771
O 0.8232 0.0268 0.8031
O 0.3610 0.8653 0.8627
O 0.8493 0.4957 0.4264
O 0.5426 0.6855 0.9743
O 0.3560 0.8612 0.5764
O 0.8254 0.7955 0.3016
O 0.1428 0.4569 0.9747
O 0.5213 0.8281 0.7604
O 0.6872 0.1647 0.0287
O 0.8048 0.8195 0.9103
O 0.5061 0.6398 0.8623
O 0.6839 0.5233 0.2441
O 0.6365 0.4934 0.9229
O 0.2083 0.0307 0.3045
O 0.8337 0.5223 0.0282
O 0.1786 0.2189 0.6969
O 0.5100 0.8578 0.0773
O 0.1672 0.6827 0.7600
O 0.0093 0.8204 0.4128
O 0.0345 0.8111 0.6920
O 0.5045 0.3547 0.4257
O 0.1799 0.9683 0.1946
O 0.6877 0.5240 0.5303
O 0.1118 0.6335 0.3615
O 0.5223 0.8877 0.3613
Sc 0.6580 0.3268 0.6849
Sc 0.3333 0.6660 0.3230
Sc 0.6643 0.3305 0.1830
Sc 0.9992 0.9990 0.3565
Sc 0.0069 0.9992 0.1461
Sc 0.0016 0.0008 0.8536
Sc 0.0098 0.0076 0.6484
Sc 0.3324 0.6590 0.5154
Sc 0.3329 0.6726 0.0157
P 0.7060 0.7075 0.2486
P 0.0305 0.6610 0.4189
P 0.2925 0.9983 0.2507
P 0.7016 0.9950 0.7507
P 0.2940 0.2989 0.7528
P 0.3379 0.9632 0.9176
P 0.0377 0.3759 0.9181
P 0.9550 0.3334 0.5833
P 0.0071 0.7082 0.7504
P 0.9554 0.6214 0.0814
P 0.3763 0.0442 0.5809
P 0.6307 0.9693 0.4187
P 0.3770 0.3319 0.0809
P 0.6648 0.0429 0.0817
P 0.3387 0.3687 0.4169
P 0.0016 0.2940 0.2488
P 0.6652 0.6224 0.5834
P 0.6242 0.6624 0.9177
Na 0.6642 0.7000 0.0808
Na 0.6372 0.0002 0.2536
Na 0.3334 0.6655 0.6653
Na 0.3326 0.6784 0.1655
Na 0.6418 0.6383 0.7496
Na 0.0107 0.9990 0.9944
Na 0.6671 0.3337 0.3407
Na 0.0330 0.7005 0.5810
Na 0.6643 0.9652 0.5808
Na 0.9988 0.3603 0.7499
Na 0.0340 0.3324 0.0807
Na 0.3634 0.3637 0.2542
Na 0.0109 0.0122 0.4961
Na 0.6553 0.3214 0.8347
Na 0.9994 0.6367 0.2538
Ti 0.3336 0.6737 0.8193
Ti 0.6638 0.3325 0.4794
Ti 0.6655 0.3331 0.9768

=====

An optimized crystal structure of ErAgSe2, computed with PBE.

The total energy comes out at -4.797 eV per atom. As for the energy of formation from the pure elements: -5.7 eV/f.u. Its piezoelectric modulus e_max is 0.12 C/m².

Unit cell a=4.2462 b=6.8220 c=13.7442 alpha=90.00 beta=90.00 gamma=90.00
Sites, in units of the cell vectors:
Se 0.7291 0.4877 0.0271
Se 0.2709 0.9877 0.4729
Se 0.2228 0.4114 0.7739
Se 0.7709 0.5123 0.5271
Se 0.2772 0.5886 0.2739
Se 0.2291 0.0123 0.9729
Se 0.7772 0.9114 0.7261
Se 0.7228 0.0886 0.2261
Ag 0.5071 0.7057 0.8736
Ag 0.9929 0.2943 0.3736
Ag 0.4929 0.2057 0.6264
Ag 0.0071 0.7943 0.1264
Er 0.7215 0.2072 0.8723
Er 0.2215 0.2928 0.1277
Er 0.2785 0.7072 0.6277
Er 0.7785 0.7928 0.3723

=====

An optimized crystal structure of MgB12H12O6, computed with PBE.

The total energy comes out at -4.622 eV per atom. As for the energy of formation from the pure elements: 4.7 eV/f.u.

Unit cell a=8.1084 b=9.4440 c=10.9386 alpha=90.00 beta=90.00 gamma=90.58
Sites, in units of the cell vectors:
O 0.6980 0.9629 0.3993
O 0.4958 0.1935 0.4277
O 0.5042 0.8065 0.5723
O 0.6185 0.0766 0.6450
O 0.3020 0.0371 0.6007
O 0.6980 0.4629 0.1007
O 0.4958 0.6935 0.0723
O 0.3020 0.5371 0.8993
O 0.3815 0.4234 0.1450
O 0.3815 0.9234 0.3550
O 0.6185 0.5766 0.8550
O 0.5042 0.3065 0.9277
B 0.8107 0.4485 0.5566
B 0.1731 0.4290 0.5663
B 0.8965 0.1263 0.9222
B 0.8832 0.8953 0.0931
B 0.1035 0.3737 0.4222
B 0.1168 0.6047 0.5931
B 0.9706 0.8247 0.9583
B 0.1035 0.8737 0.0778
B 0.8107 0.9485 0.9434
B 0.1168 0.1047 0.9069
B 0.8832 0.3953 0.4069
B 0.0294 0.1753 0.0417
B 0.8269 0.0710 0.0663
B 0.1893 0.0515 0.0566
B 0.0216 0.0215 0.1564
B 0.8965 0.6263 0.5778
B 0.0294 0.6753 0.4583
B 0.9706 0.3247 0.5417
B 0.0216 0.5215 0.3436
B 0.1893 0.5515 0.4434
B 0.9784 0.4785 0.6564
B 0.1731 0.9290 0.9337
B 0.8269 0.5710 0.4337
B 0.9784 0.9785 0.8436
Mg 0.5000 0.5000 0.0000
Mg 0.5000 0.0000 0.5000
H 0.1948 0.6861 0.6559
H 0.2750 0.8680 0.8761
H 0.0371 0.2919 0.0832
H 0.1753 0.2896 0.3595
H 0.9773 0.9487 0.7378
H 0.8052 0.3139 0.3441
H 0.9629 0.7081 0.9168
H 0.1948 0.1861 0.8441
H 0.0227 0.0513 0.2622
H 0.2750 0.3680 0.6239
H 0.8247 0.7104 0.6405
H 0.8247 0.2104 0.8595
H 0.0227 0.5513 0.2378
H 0.6763 0.4178 0.5932
H 0.3237 0.5822 0.4068
H 0.7250 0.1320 0.1239
H 0.8052 0.8139 0.1559
H 0.9773 0.4487 0.7622
H 0.9629 0.2081 0.5832
H 0.7250 0.6320 0.3761
H 0.3237 0.0822 0.0932
H 0.0371 0.7919 0.4168
H 0.6763 0.9178 0.9068
H 0.1753 0.7896 0.1405

=====

An optimized crystal structure of Ba3Zn2B3O9F, computed with PBE.

The total energy comes out at -6.690 eV per atom. As for the energy of formation from the pure elements: -52.3 eV/f.u.

Unit cell a=7.1140 b=8.5175 c=17.6045 alpha=90.00 beta=90.00 gamma=90.00
Sites, in units of the cell vectors:
B 0.0708 0.3139 0.7500
B 0.5708 0.1861 0.2500
B 0.5971 0.2434 0.9599
B 0.5971 0.2434 0.5401
B 0.9029 0.7434 0.9599
B 0.9029 0.7434 0.5401
B 0.4292 0.8139 0.7500
B 0.4029 0.7566 0.0401
B 0.0971 0.2566 0.0401
B 0.9292 0.6861 0.2500
B 0.0971 0.2566 0.4599
B 0.4029 0.7566 0.4599
O 0.4697 0.1623 0.3170
O 0.1464 0.1006 0.4464
O 0.3536 0.6006 0.0536
O 0.9697 0.3377 0.8170
O 0.9709 0.6524 0.9004
O 0.0291 0.3476 0.0996
O 0.3845 0.8157 0.5328
O 0.9697 0.3377 0.6830
O 0.4697 0.1623 0.1830
O 0.8536 0.8994 0.5536
O 0.4709 0.8476 0.4004
O 0.5303 0.8377 0.8170
O 0.7532 0.2397 0.2500
O 0.9709 0.6524 0.5996
O 0.2468 0.7603 0.7500
O 0.6464 0.3994 0.5536
O 0.3536 0.6006 0.4464
O 0.6155 0.1843 0.0328
O 0.6464 0.3994 0.9464
O 0.0291 0.3476 0.4004
O 0.5291 0.1524 0.5996
O 0.1155 0.3157 0.5328
O 0.8845 0.6843 0.0328
O 0.2532 0.2603 0.7500
O 0.0303 0.6623 0.1830
O 0.7468 0.7397 0.2500
O 0.1155 0.3157 0.9672
O 0.1464 0.1006 0.0536
O 0.3845 0.8157 0.9672
O 0.8536 0.8994 0.9464
O 0.5291 0.1524 0.9004
O 0.8845 0.6843 0.4672
O 0.6155 0.1843 0.4672
O 0.5303 0.8377 0.6830
O 0.4709 0.8476 0.0996
O 0.0303 0.6623 0.3170
Zn 0.9063 0.4281 0.5832
Zn 0.5937 0.9281 0.9168
Zn 0.4063 0.0719 0.0832
Zn 0.0937 0.5719 0.0832
Zn 0.5937 0.9281 0.5832
Zn 0.4063 0.0719 0.4168
Zn 0.9063 0.4281 0.9168
Zn 0.0937 0.5719 0.4168
Ba 0.3461 0.5510 0.8792
Ba 0.8461 0.9490 0.1208
Ba 0.6390 0.2051 0.7500
Ba 0.6539 0.4490 0.1208
Ba 0.8610 0.7051 0.7500
Ba 0.3610 0.7949 0.2500
Ba 0.8461 0.9490 0.3792
Ba 0.1390 0.2949 0.2500
Ba 0.6539 0.4490 0.3792
Ba 0.1539 0.0510 0.6208
Ba 0.1539 0.0510 0.8792
Ba 0.3461 0.5510 0.6208
F 0.9343 0.0071 0.7500
F 0.0657 0.9929 0.2500
F 0.5657 0.5071 0.7500
F 0.4343 0.4929 0.2500